[1]
A relaxed Nb4NiSe8 crystal, computed with r²SCAN.

Cell: 6.9865 6.9865 12.6141 Å, 90.00 90.00 120.00°
Last column: nearest neighbours and their distance in Å.
Positions (direct):
Nb1 0.0000 0.0000 0.2500  6 Se 2.61
Nb2 0.0000 0.0000 0.7500  6 Se 2.61
Nb3 0.0193 0.5096 0.2500  6 Se 2.58-2.65
Nb4 0.4904 0.5096 0.2500  6 Se 2.58-2.65
Nb5 0.4904 0.9807 0.2500  6 Se 2.58-2.65
Nb6 0.5096 0.0193 0.7500  6 Se 2.58-2.65
Nb7 0.5096 0.4904 0.7500  6 Se 2.58-2.65
Nb8 0.9807 0.4904 0.7500  6 Se 2.58-2.65
Ni1 0.0000 0.0000 0.0000  6 Se 2.53
Ni2 0.0000 0.0000 0.5000  6 Se 2.53
Se1 0.1678 0.3356 0.6194  1 Ni 2.53, 3 Nb 2.61-2.65
Se2 0.1678 0.3356 0.8806  1 Ni 2.53, 3 Nb 2.61-2.65
Se3 0.1678 0.8322 0.6194  1 Ni 2.53, 3 Nb 2.61-2.65
Se4 0.1678 0.8322 0.8806  1 Ni 2.53, 3 Nb 2.61-2.65
Se5 0.3333 0.6667 0.1122  3 Nb 2.58
Se6 0.3333 0.6667 0.3878  3 Nb 2.58
Se7 0.3356 0.1678 0.1194  1 Ni 2.53, 3 Nb 2.61-2.65
Se8 0.3356 0.1678 0.3806  1 Ni 2.53, 3 Nb 2.61-2.65
Se9 0.6644 0.8322 0.6194  1 Ni 2.53, 3 Nb 2.61-2.65
Se10 0.6644 0.8322 0.8806  1 Ni 2.53, 3 Nb 2.61-2.65
Se11 0.6667 0.3333 0.6122  3 Nb 2.58
Se12 0.6667 0.3333 0.8878  3 Nb 2.58
Se13 0.8322 0.1678 0.1194  1 Ni 2.53, 3 Nb 2.61-2.65
Se14 0.8322 0.1678 0.3806  1 Ni 2.53, 3 Nb 2.61-2.65
Se15 0.8322 0.6644 0.1194  1 Ni 2.53, 3 Nb 2.61-2.65
Se16 0.8322 0.6644 0.3806  1 Ni 2.53, 3 Nb 2.61-2.65


[2]
A relaxed YbB2Rh3 crystal, computed with r²SCAN.

Cell: 5.3376 5.3376 3.1361 Å, 90.00 90.00 120.00°
Last column: nearest neighbours and their distance in Å.
Positions (direct):
Yb1 0.0000 0.0000 0.0000  6 B 3.08, 12 Rh 3.10, 2 Yb 3.14
B1 0.3333 0.6667 0.0000  6 Rh 2.20
B2 0.6667 0.3333 0.0000  6 Rh 2.20
Rh1 0.0000 0.5000 0.5000  4 B 2.20
Rh2 0.5000 0.0000 0.5000  4 B 2.20
Rh3 0.5000 0.5000 0.5000  4 B 2.20


[3]
A relaxed SbO2F crystal, computed with r²SCAN.

Cell: 5.0076 5.0076 5.4609 Å, 119.05 119.05 61.82°
Last column: nearest neighbours and their distance in Å.
Positions (direct):
Sb1 0.2193 0.7807 0.5000  4 O 1.91-1.92, 2 F 2.08-2.11
Sb2 0.7807 0.2193 0.0000  4 O 1.91-1.92, 2 F 2.08-2.11
O1 0.0109 0.8522 0.7504  2 Sb 1.91
O2 0.1436 0.3760 0.2370  2 Sb 1.92
O3 0.3760 0.1436 0.7370  2 Sb 1.92
O4 0.8522 0.0109 0.2504  2 Sb 1.91
F1 0.5134 0.6255 0.2519  2 Sb 2.08-2.11
F2 0.6255 0.5134 0.7519  2 Sb 2.08-2.11


[4]
A relaxed SiO2 crystal, computed with r²SCAN.

Cell: 10.0180 10.0180 10.2139 Å, 90.00 90.00 120.00°
Last column: nearest neighbours and their distance in Å.
Positions (direct):
Si1 0.1371 0.5685 0.1035  4 O 1.59-1.63
Si2 0.1371 0.5685 0.3965  4 O 1.59-1.63
Si3 0.4315 0.5685 0.1035  4 O 1.59-1.63
Si4 0.4315 0.5685 0.3965  4 O 1.59-1.63
Si5 0.4315 0.8629 0.1035  4 O 1.59-1.63
Si6 0.4315 0.8629 0.3965  4 O 1.59-1.63
Si7 0.5685 0.1371 0.6035  4 O 1.59-1.63
Si8 0.5685 0.1371 0.8965  4 O 1.59-1.63
Si9 0.5685 0.4315 0.6035  4 O 1.59-1.63
Si10 0.5685 0.4315 0.8965  4 O 1.59-1.63
Si11 0.8629 0.4315 0.6035  4 O 1.59-1.63
Si12 0.8629 0.4315 0.8965  4 O 1.59-1.63
O1 0.0000 0.5000 0.0000  2 Si 1.59
O2 0.0000 0.5000 0.5000  2 Si 1.59
O3 0.0657 0.5329 0.2500  2 Si 1.62
O4 0.2462 0.4924 0.0838  2 Si 1.63
O5 0.2462 0.4924 0.4162  2 Si 1.63
O6 0.2462 0.7538 0.0838  2 Si 1.63
O7 0.2462 0.7538 0.4162  2 Si 1.63
O8 0.4671 0.5329 0.2500  2 Si 1.62
O9 0.4671 0.9343 0.2500  2 Si 1.62
O10 0.4924 0.2462 0.5838  2 Si 1.63
O11 0.4924 0.2462 0.9162  2 Si 1.63
O12 0.5000 0.0000 0.0000  2 Si 1.59
O13 0.5000 0.0000 0.5000  2 Si 1.59
O14 0.5000 0.5000 0.0000  2 Si 1.59
O15 0.5000 0.5000 0.5000  2 Si 1.59
O16 0.5076 0.7538 0.0838  2 Si 1.63
O17 0.5076 0.7538 0.4162  2 Si 1.63
O18 0.5329 0.0657 0.7500  2 Si 1.62
O19 0.5329 0.4671 0.7500  2 Si 1.62
O20 0.7538 0.2462 0.5838  2 Si 1.63
O21 0.7538 0.2462 0.9162  2 Si 1.63
O22 0.7538 0.5076 0.5838  2 Si 1.63
O23 0.7538 0.5076 0.9162  2 Si 1.63
O24 0.9343 0.4671 0.7500  2 Si 1.62


Number 1: spin magnetization 1.61 μB per formula unit, total DFT energy (no corrections) -18.27 eV per atom. Number 2: spin magnetization 0.00 μB per formula unit, total DFT energy (no corrections) -21.39 eV per atom. Number 3: spin magnetization 0.00 μB per formula unit, total DFT energy (no corrections) -11.93 eV per atom. Number 4: spin magnetization 0.00 μB per formula unit, total DFT energy (no corrections) -9.89 eV per atom.